[1]
Cs2CO3: relaxed, r²SCAN.

```
Cs2CO3
1.0
-8.551 -3.660 -4.651
3.255 -4.720 -2.270
-1.172 -5.019 6.104
Cs C O
8 4 12
direct
0.917 0.242 0.818
0.417 0.758 0.682
0.083 0.758 0.182
0.583 0.242 0.318
0.284 0.262 0.977
0.784 0.738 0.523
0.716 0.738 0.023
0.216 0.262 0.477
0.580 0.246 0.737
0.920 0.246 0.237
0.420 0.754 0.263
0.080 0.754 0.763
0.850 0.077 0.215
0.350 0.923 0.285
0.150 0.923 0.785
0.650 0.077 0.715
0.874 0.402 0.314
0.626 0.402 0.814
0.126 0.598 0.686
0.374 0.598 0.186
0.464 0.258 0.677
0.964 0.742 0.823
0.536 0.742 0.323
0.036 0.258 0.177
```

Properties
Total energy, eV for the cell shown: -357.0
Total magnetization, Bohr magnetons per cell: 0.0

[2]
Dy3Y: relaxed, r²SCAN.

```
Dy3Y
1.0
-2.517 2.517 5.040
2.517 -2.517 5.040
2.517 2.517 -5.040
Dy Y
3 1
direct
0.750 0.250 0.500
0.250 0.750 0.500
0.500 0.500 0.000
0.000 0.000 0.000
```

Properties
Excess energy over the best structure of this formula in the dataset, meV/atom: 40.3
Total magnetization, Bohr magnetons per cell: 0.0

[3]
DyFeSi: relaxed, r²SCAN.

```
DyFeSi
1.0
4.039 0.000 0.000
0.000 4.039 0.000
0.000 0.000 6.384
Dy Fe Si
2 2 2
direct
0.250 0.250 0.688
0.750 0.750 0.312
0.750 0.250 0.000
0.250 0.750 0.000
0.750 0.750 0.821
0.250 0.250 0.179
```

Properties
Total energy, eV for the cell shown: -113.4
Total magnetization, Bohr magnetons per cell: 0.7